# Ho2MoO6, relaxed, DFT r²SCAN
# Crystal system ... monoclinic
# Theoretical density ... 7.69 g/cm³
# DFT formation energy ... -3260.4 meV/atom
data_Ho2MoO6
_cell_length_a 16.295
_cell_length_b 10.966
_cell_length_c 5.316
_cell_angle_alpha 90.00
_cell_angle_beta 108.41
_cell_angle_gamma 90.00
_space_group_name_H-M_alt 'C 1 2/c 1'
_space_group_IT_number 15
_space_group_name_Hall '-C 2yc'
loop_
_atom_site_label
_atom_site_fract_x
_atom_site_fract_y
_atom_site_fract_z
Ho1 0.000 0.107 0.250
Ho2 0.000 0.363 0.750
Ho3 0.167 0.116 0.878
Mo1 0.155 0.360 0.438
O1 0.072 0.235 0.583
O2 0.080 0.469 0.485
O3 0.092 0.019 0.080
O4 0.106 0.280 0.130
O5 0.228 0.296 0.741
O6 0.236 0.449 0.361